Entry from the Materials Project: a relaxed structure of Li3Co2OF5 (PBE with a Hubbard U). Values from VASP.

Structure (Quantum ESPRESSO input):
```
&SYSTEM
  ibrav = 0, nat = 22, ntyp = 4
/
ATOMIC_SPECIES
F 19.00 F.upf
Co 58.93 Co.upf
O 16.00 O.upf
Li 6.94 Li.upf
ATOMIC_POSITIONS crystal
F 0.916 0.419 0.578
F 0.578 0.088 0.916
F 0.818 0.345 0.143
F 0.143 0.694 0.818
F 0.265 0.735 0.265
F 0.088 0.578 0.419
F 0.735 0.265 0.735
F 0.345 0.818 0.694
F 0.419 0.916 0.088
F 0.694 0.143 0.345
Co 0.500 0.500 0.500
Co 0.750 0.750 0.750
Co 0.826 0.826 0.174
Co 0.174 0.174 0.826
O 0.510 0.990 0.510
O 0.990 0.510 0.990
Li 0.668 0.668 0.332
Li 0.332 0.332 0.668
Li 0.250 0.250 0.250
Li 0.000 0.000 0.000
Li 0.573 0.573 0.927
Li 0.927 0.927 0.573
CELL_PARAMETERS angstrom
0.000 4.212 8.877
2.996 0.000 8.877
2.996 4.212 0.000
```

Results
Uncorrected energy ... -5.0635 eV/atom
Offset from the most stable computed form ... 0 meV per atom
Formation energy ... -2.50 eV per atom
Volume ... 224 Å³ per cell

Entry from the Materials Project: a relaxed structure of Li5Co7O3F13 (PBE with a Hubbard U). Values from VASP.

Structure (Quantum ESPRESSO input):
```
&SYSTEM
  ibrav = 0, nat = 28, ntyp = 4
/
ATOMIC_SPECIES
Li 6.94 Li.upf
O 16.00 O.upf
F 19.00 F.upf
Co 58.93 Co.upf
ATOMIC_POSITIONS crystal
Li 0.015 0.541 0.497
Li 0.878 0.438 0.810
Li 0.996 0.010 0.988
Li 0.733 0.336 0.128
Li 0.764 0.875 0.635
O 0.155 0.078 0.695
O 0.142 0.863 0.423
O 0.605 0.010 0.202
F 0.628 0.312 0.929
F 0.147 0.352 0.939
F 0.598 0.799 0.925
F 0.615 0.794 0.435
F 0.636 0.076 0.699
F 0.130 0.549 0.190
F 0.136 0.324 0.434
F 0.132 0.805 0.934
F 0.137 0.572 0.699
F 0.614 0.321 0.438
F 0.603 0.547 0.189
F 0.128 0.074 0.186
F 0.623 0.535 0.692
Co 0.364 0.946 0.805
Co 0.381 0.705 0.065
Co 0.371 0.433 0.314
Co 0.356 0.160 0.567
Co 0.376 0.938 0.313
Co 0.365 0.420 0.804
Co 0.874 0.937 0.312
CELL_PARAMETERS angstrom
-2.511 -4.880 2.588
4.339 3.134 3.007
-6.771 7.938 1.330
```

Results
Uncorrected energy ... -5.1424 eV/atom
Offset from the most stable computed form ... 56 meV per atom
Formation energy ... -2.30 eV per atom
Volume ... 321 Å³ per cell

Entry from the Materials Project: a relaxed structure of LiCo5O7F (PBE with a Hubbard U). Values from VASP.

Structure (Quantum ESPRESSO input):
```
&SYSTEM
  ibrav = 0, nat = 28, ntyp = 4
/
ATOMIC_SPECIES
O 16.00 O.upf
Co 58.93 Co.upf
Li 6.94 Li.upf
F 19.00 F.upf
ATOMIC_POSITIONS crystal
O 0.073 0.857 0.215
O 0.798 0.384 0.415
O 0.854 0.857 0.431
O 0.560 0.373 0.185
O 0.361 0.862 0.929
O 0.578 0.823 0.195
O 0.589 0.884 0.707
O 0.286 0.425 0.431
O 0.069 0.397 0.674
O 0.291 0.372 0.917
O 0.021 0.380 0.196
O 0.085 0.832 0.693
O 0.793 0.428 0.928
O 0.521 0.395 0.693
Co 0.922 0.123 0.310
Co 0.863 0.247 0.620
Co 0.937 0.622 0.315
Co 0.937 0.624 0.808
Co 0.684 0.617 0.063
Co 0.432 0.129 0.809
Co 0.433 0.611 0.310
Co 0.183 0.624 0.561
Co 0.440 0.630 0.811
Co 0.360 0.236 0.122
Li 0.024 0.012 0.008
Li 0.517 0.014 0.505
F 0.827 0.879 0.944
F 0.315 0.863 0.455
CELL_PARAMETERS angstrom
-0.085 4.096 4.103
4.093 -0.088 4.106
8.264 4.094 -4.272
```

Results
Uncorrected energy ... -5.8268 eV/atom
Offset from the most stable computed form ... 0 meV per atom
Formation energy ... -1.50 eV per atom
Volume ... 284 Å³ per cell

Entry from the Materials Project: a relaxed structure of Li4CoOF5 (PBE with a Hubbard U). Values from VASP.

Structure (Quantum ESPRESSO input):
```
&SYSTEM
  ibrav = 0, nat = 44, ntyp = 4
/
ATOMIC_SPECIES
O 16.00 O.upf
F 19.00 F.upf
Li 6.94 Li.upf
Co 58.93 Co.upf
ATOMIC_POSITIONS crystal
O 0.627 0.375 0.249
O 0.127 0.875 0.251
O 0.876 0.125 0.750
O 0.377 0.625 0.752
F 0.318 0.363 0.908
F 0.769 0.111 0.073
F 0.231 0.888 0.924
F 0.520 0.363 0.572
F 0.125 0.374 0.249
F 0.376 0.126 0.750
F 0.682 0.638 0.093
F 0.820 0.861 0.909
F 0.981 0.137 0.426
F 0.627 0.874 0.254
F 0.569 0.113 0.407
F 0.931 0.389 0.590
F 0.875 0.626 0.749
F 0.033 0.855 0.571
F 0.470 0.644 0.431
F 0.435 0.890 0.594
F 0.274 0.610 0.077
F 0.068 0.610 0.407
F 0.730 0.390 0.927
F 0.184 0.138 0.093
Li 0.340 0.273 0.181
Li 0.199 0.001 0.667
Li 0.059 0.750 0.837
Li 0.911 0.476 0.316
Li 0.660 0.728 0.818
Li 0.843 0.773 0.185
Li 0.695 0.498 0.668
Li 0.807 0.002 0.332
Li 0.410 0.976 0.320
Li 0.557 0.251 0.833
Li 0.945 0.248 0.166
Li 0.444 0.751 0.165
Li 0.156 0.225 0.817
Li 0.091 0.523 0.681
Li 0.301 0.500 0.334
Li 0.595 0.025 0.684
Co 0.252 0.750 0.501
Co 0.750 0.251 0.497
Co 0.500 0.500 0.999
Co 0.003 0.998 0.004
CELL_PARAMETERS angstrom
-0.467 6.661 -0.001
9.077 2.647 3.655
4.772 -2.007 -5.483
```

Results
Uncorrected energy ... -4.9297 eV/atom
Offset from the most stable computed form ... 19 meV per atom
Formation energy ... -2.69 eV per atom
Volume ... 451 Å³ per cell

Entry from the Materials Project: a relaxed structure of Li8CoO5F (PBE with a Hubbard U). Values from VASP.

Structure (Quantum ESPRESSO input):
```
&SYSTEM
  ibrav = 0, nat = 60, ntyp = 4
/
ATOMIC_SPECIES
O 16.00 O.upf
Li 6.94 Li.upf
Co 58.93 Co.upf
F 19.00 F.upf
ATOMIC_POSITIONS crystal
O 0.398 0.361 0.824
O 0.101 0.140 0.176
O 0.601 0.640 0.176
O 0.155 0.595 0.969
O 0.648 0.111 0.324
O 0.895 0.868 0.132
O 0.655 0.095 0.969
O 0.645 0.118 0.632
O 0.851 0.390 0.676
O 0.095 0.143 0.535
O 0.405 0.345 0.469
O 0.145 0.618 0.632
O 0.148 0.611 0.324
O 0.595 0.643 0.535
O 0.345 0.893 0.035
O 0.845 0.393 0.035
O 0.351 0.890 0.676
O 0.898 0.861 0.824
O 0.395 0.368 0.132
O 0.905 0.845 0.469
Li 0.351 0.012 0.231
Li 0.204 0.756 0.843
Li 0.856 0.487 0.886
Li 0.597 0.763 0.050
Li 0.601 0.762 0.730
Li 0.917 0.731 0.950
Li 0.667 0.981 0.450
Li 0.777 0.258 0.142
Li 0.101 0.262 0.730
Li 0.454 0.506 0.343
Li 0.413 0.251 0.266
Li 0.417 0.231 0.950
Li 0.851 0.512 0.231
Li 0.347 0.013 0.550
Li 0.163 0.501 0.766
Li 0.167 0.481 0.450
Li 0.883 0.755 0.618
Li 0.383 0.255 0.618
Li 0.704 0.256 0.843
Li 0.847 0.513 0.550
Li 0.133 0.505 0.118
Li 0.277 0.758 0.142
Li 0.913 0.751 0.266
Li 0.664 0.001 0.766
Li 0.606 0.737 0.386
Li 0.527 0.508 0.642
Li 0.356 0.987 0.886
Li 0.633 0.005 0.118
Li 0.097 0.263 0.050
Li 0.954 0.006 0.343
Li 0.106 0.237 0.386
Li 0.027 0.008 0.642
Co 0.472 0.487 0.019
Co 0.972 0.987 0.019
Co 0.222 0.737 0.519
Co 0.722 0.238 0.519
F 0.885 0.393 0.361
F 0.135 0.143 0.861
F 0.385 0.893 0.361
F 0.635 0.643 0.861
CELL_PARAMETERS angstrom
5.621 2.348 1.202
0.019 -1.581 9.952
1.257 -8.512 -4.149
```

Results
Uncorrected energy ... -4.9641 eV/atom
Offset from the most stable computed form ... 32 meV per atom
Formation energy ... -2.06 eV per atom
Volume ... 545 Å³ per cell

Entry from the Materials Project: a relaxed structure of Li4Co7O2F14 (PBE with a Hubbard U). Values from VASP.

Structure (Quantum ESPRESSO input):
```
&SYSTEM
  ibrav = 0, nat = 27, ntyp = 4
/
ATOMIC_SPECIES
Co 58.93 Co.upf
F 19.00 F.upf
Li 6.94 Li.upf
O 16.00 O.upf
ATOMIC_POSITIONS crystal
Co 0.012 0.766 0.742
Co 0.988 0.234 0.258
Co 0.505 0.254 0.758
Co 0.000 0.500 0.000
Co 0.500 0.500 0.500
Co 0.495 0.746 0.242
Co 0.500 0.000 0.500
F 0.243 0.514 0.835
F 0.212 0.753 0.569
F 0.182 0.255 0.091
F 0.757 0.486 0.165
F 0.710 0.018 0.179
F 0.818 0.745 0.909
F 0.781 0.020 0.670
F 0.788 0.247 0.431
F 0.290 0.982 0.821
F 0.295 0.712 0.076
F 0.226 0.496 0.332
F 0.219 0.980 0.330
F 0.705 0.288 0.924
F 0.774 0.504 0.668
Li 0.025 0.742 0.407
Li 0.457 0.764 0.919
Li 0.975 0.258 0.593
Li 0.543 0.236 0.081
O 0.662 0.746 0.413
O 0.338 0.254 0.587
CELL_PARAMETERS angstrom
-5.036 -0.792 -0.207
0.966 -5.777 1.060
-0.578 2.238 10.245
```

Results
Uncorrected energy ... -5.1421 eV/atom
Offset from the most stable computed form ... 0 meV per atom
Formation energy ... -2.37 eV per atom
Volume ... 319 Å³ per cell